# KMgSbP2O8 | the Materials Project | GGA-PBE | relaxed
data_KMgSbP2O8
_cell_length_a 5.3106
_cell_length_b 5.3106
_cell_length_c 26.5139
_cell_angle_alpha 90.00
_cell_angle_beta 90.00
_cell_angle_gamma 120.00
_space_group_name_H-M_alt 'R 3'
_space_group_IT_number 146
_space_group_name_Hall 'R 3'
loop_
_atom_site_label
_atom_site_fract_x
_atom_site_fract_y
_atom_site_fract_z
K1 0.0000 0.0000 0.0000
Mg1 0.0000 0.0000 0.1399
Sb1 0.0000 0.0000 0.5073
P1 0.0000 0.0000 0.2417
P2 0.0000 0.0000 0.7604
O1 0.0000 0.0000 0.2977
O2 0.0000 0.0000 0.7039
O3 0.0318 0.2902 0.7834
O4 0.0413 0.7540 0.2154
# **Total energy**: -253.1 eV for the cell shown
# **E_form**: -2509 meV/atom
# **Density**: 2.89 g cm⁻³
# **Offset from the most stable computed form**: 0.0486 eV/atom